A plane-wave DFT calculation with PBE with a Hubbard U was carried out for a relaxed Li9Mn2Co5O16 crystal.

Calculated values
Total magnetic moment, μB per cell: 13.8

Structure (CIF):
```
data_Li9Mn2Co5O16
_chemical_formula_sum 'Li9 Mn2 Co5 O16'
_cell_length_a 2.884
_cell_length_b 5.219
_cell_length_c 19.474
_cell_angle_alpha 83.27
_cell_angle_beta 90.00
_cell_angle_gamma 90.00
_space_group_name_H-M_alt 'P 1'
_space_group_IT_number 1
loop_
_space_group_symop_operation_xyz
'x,y,z'
loop_
_atom_site_label
_atom_site_type_symbol
_atom_site_fract_x
_atom_site_fract_y
_atom_site_fract_z
_atom_site_occupancy
Li1 Li 0.500 0.868 0.870 1
Li2 Li 0.500 0.634 0.626 1
Li3 Li 0.500 0.369 0.376 1
Li4 Li 0.500 0.127 0.127 1
Li5 Li 0.000 0.367 0.868 1
Li6 Li 0.000 0.126 0.629 1
Li7 Li 0.000 0.881 0.375 1
Li8 Li 0.000 0.627 0.128 1
Li9 Li 0.000 0.750 0.749 1
Mn1 Mn 0.000 0.997 0.000 1
Mn2 Mn 0.500 0.498 0.998 1
Co1 Co 0.000 0.501 0.500 1
Co2 Co 0.000 0.251 0.251 1
Co3 Co 0.500 0.251 0.749 1
Co4 Co 0.500 0.001 0.502 1
Co5 Co 0.500 0.750 0.251 1
O1 O 0.500 0.156 0.941 1
O2 O 0.500 0.990 0.697 1
O3 O 0.500 0.677 0.447 1
O4 O 0.500 0.436 0.193 1
O5 O 0.000 0.659 0.938 1
O6 O 0.000 0.418 0.694 1
O7 O 0.000 0.172 0.441 1
O8 O 0.000 0.938 0.192 1
O9 O 0.500 0.513 0.802 1
O10 O 0.500 0.328 0.554 1
O11 O 0.500 0.065 0.307 1
O12 O 0.500 0.836 0.058 1
O13 O 0.000 0.083 0.804 1
O14 O 0.000 0.826 0.563 1
O15 O 0.000 0.563 0.309 1
O16 O 0.000 0.342 0.057 1
```

---

A plane-wave DFT calculation with PBE with a Hubbard U was carried out for a relaxed BaLa2WO7 crystal.

Calculated values
Total magnetic moment, μB per cell: 0.0

Structure (CIF):
```
data_BaLa2WO7
_chemical_formula_sum 'Ba4 La8 W4 O28'
_cell_length_a 5.896
_cell_length_b 9.017
_cell_length_c 12.991
_cell_angle_alpha 74.75
_cell_angle_beta 90.00
_cell_angle_gamma 90.00
_space_group_name_H-M_alt 'P 1'
_space_group_IT_number 1
loop_
_space_group_symop_operation_xyz
'x,y,z'
loop_
_atom_site_label
_atom_site_type_symbol
_atom_site_fract_x
_atom_site_fract_y
_atom_site_fract_z
_atom_site_occupancy
Ba1 Ba 0.008 0.517 0.634 1
Ba2 Ba 0.508 0.483 0.866 1
Ba3 Ba 0.992 0.483 0.366 1
Ba4 Ba 0.492 0.517 0.134 1
La1 La 0.511 0.805 0.585 1
La2 La 0.011 0.195 0.915 1
La3 La 0.489 0.195 0.415 1
La4 La 0.989 0.805 0.085 1
La5 La 0.017 0.933 0.370 1
La6 La 0.517 0.067 0.130 1
La7 La 0.983 0.067 0.630 1
La8 La 0.483 0.933 0.870 1
W1 W 0.024 0.719 0.838 1
W2 W 0.524 0.281 0.662 1
W3 W 0.976 0.281 0.162 1
W4 W 0.476 0.719 0.338 1
O1 O 0.023 0.503 0.842 1
O2 O 0.523 0.497 0.658 1
O3 O 0.977 0.497 0.158 1
O4 O 0.477 0.503 0.342 1
O5 O 0.043 0.944 0.820 1
O6 O 0.543 0.056 0.680 1
O7 O 0.957 0.056 0.180 1
O8 O 0.457 0.944 0.320 1
O9 O 0.765 0.708 0.934 1
O10 O 0.265 0.292 0.566 1
O11 O 0.235 0.292 0.066 1
O12 O 0.735 0.708 0.434 1
O13 O 0.308 0.746 0.751 1
O14 O 0.808 0.254 0.749 1
O15 O 0.692 0.254 0.249 1
O16 O 0.192 0.746 0.251 1
O17 O 0.237 0.691 0.960 1
O18 O 0.737 0.309 0.540 1
O19 O 0.763 0.309 0.040 1
O20 O 0.263 0.691 0.460 1
O21 O 0.845 0.763 0.707 1
O22 O 0.345 0.237 0.793 1
O23 O 0.155 0.237 0.293 1
O24 O 0.655 0.763 0.207 1
O25 O 0.238 0.993 0.508 1
O26 O 0.738 0.007 0.992 1
O27 O 0.762 0.007 0.492 1
O28 O 0.262 0.993 0.008 1
```

---

A plane-wave DFT calculation with PBE with a Hubbard U was carried out for a relaxed Li2MnVP3O12 crystal.

Calculated values
Total magnetic moment, μB per cell: 10.0

Structure (CIF):
```
data_Li2MnVP3O12
_chemical_formula_sum 'Li4 Mn2 V2 P6 O24'
_cell_length_a 8.331
_cell_length_b 8.366
_cell_length_c 8.889
_cell_angle_alpha 90.02
_cell_angle_beta 116.53
_cell_angle_gamma 119.37
_space_group_name_H-M_alt 'P 1'
_space_group_IT_number 1
loop_
_space_group_symop_operation_xyz
'x,y,z'
loop_
_atom_site_label
_atom_site_type_symbol
_atom_site_fract_x
_atom_site_fract_y
_atom_site_fract_z
_atom_site_occupancy
Li1 Li 0.945 0.262 0.873 1
Li2 Li 0.189 0.924 0.853 1
Li3 Li 0.051 0.735 0.127 1
Li4 Li 0.403 0.326 0.144 1
Mn1 Mn 0.289 0.151 0.436 1
Mn2 Mn 0.705 0.847 0.564 1
V1 V 0.318 0.654 0.955 1
V2 V 0.697 0.343 0.043 1
P1 P 0.803 0.540 0.753 1
P2 P 0.213 0.256 0.751 1
P3 P 0.501 0.966 0.742 1
P4 P 0.496 0.038 0.248 1
P5 P 0.780 0.742 0.249 1
P6 P 0.210 0.461 0.254 1
O1 O 0.746 0.515 0.905 1
O2 O 0.883 0.749 0.750 1
O3 O 0.002 0.521 0.825 1
O4 O 0.294 0.470 0.806 1
O5 O 0.371 0.214 0.902 1
O6 O 0.684 0.165 0.886 1
O7 O 0.616 0.390 0.584 1
O8 O 0.996 0.128 0.741 1
O9 O 0.198 0.209 0.579 1
O10 O 0.355 0.839 0.813 1
O11 O 0.622 0.881 0.726 1
O12 O 0.365 0.989 0.571 1
O13 O 0.631 0.014 0.415 1
O14 O 0.376 0.126 0.263 1
O15 O 0.640 0.176 0.178 1
O16 O 0.806 0.789 0.429 1
O17 O 0.988 0.862 0.250 1
O18 O 0.399 0.621 0.418 1
O19 O 0.310 0.846 0.095 1
O20 O 0.607 0.779 0.110 1
O21 O 0.686 0.524 0.186 1
O22 O 0.014 0.482 0.189 1
O23 O 0.147 0.259 0.273 1
O24 O 0.258 0.467 0.098 1
```

---

Q: Which formation energy values were calculated for the entries above? A: -172, -317, -249, in kJ/mol of atoms.
Q: Which energy values were calculated for the entries above? A: -184.6, -345.3, -270.4, in eV/cell.